# 1
Entry from Materials Project: Fe3Se after structural relaxation (PBE-GGA).

The space group is Pm-3m (No. 221) and the conventional cell measures 3.5896, 3.5896 and 3.5896 Å, with angles of 90.00, 90.00 and 90.00 degrees. The distinct sites, in fractional coordinates, are Fe at (0.0000, 0.0000, 0.5000) and Se at (0.5000, 0.5000, 0.5000).

The total moment is 7.81 μB/cell.


# 2
Entry from Materials Project: FeSe2 after structural relaxation (PBE-GGA).

The space group is Pa-3 (No. 205) and the conventional cell measures 5.7885, 5.7885 and 5.7885 Å, with angles of 90.00, 90.00 and 90.00 degrees. The distinct sites, in fractional coordinates, are Fe at (0.0000, 0.0000, 0.0000) and Se at (0.1251, 0.6251, 0.8749).


# 3
Entry from Materials Project: Ta11Fe2Se8 after structural relaxation (PBE-GGA).

The space group is Pnnm (No. 58) and the conventional cell measures 12.2282, 19.7103 and 3.4118 Å, with angles of 90.00, 90.00 and 90.00 degrees. The distinct sites, in fractional coordinates, are Ta at (0.0000, 0.0000, 0.0000), Ta at (0.0524, 0.2439, 0.0000), Ta at (0.0620, 0.1162, 0.5000), Ta at (0.1528, 0.7878, 0.5000), Ta at (0.1715, 0.3527, 0.5000), Ta at (0.1802, 0.9464, 0.5000), Fe at (0.0939, 0.8733, 0.0000), Se at (0.0422, 0.6732, 0.5000), Se at (0.1101, 0.4465, 0.0000), Se at (0.2043, 0.0562, 0.0000) and Se at (0.2154, 0.2159, 0.5000).


no.,E_form (eV/atom)
1,0.18
2,-0.64
3,-0.73